## MgZn2Co4O8 (PBE+U)

Data for MgZn2Co4O8 after structural relaxation.

Lattice parameters (Å, degrees): 5.9381 6.0887 6.1681 118.52 117.68 90.47
With the nearest neighbours (Å) after each atom.
Positions (direct):
Mg1 0.0000 0.0000 0.0000  4 O 1.92-2.02
Zn1 0.1105 0.5606 0.1327  4 O 1.99-2.08
Zn2 0.7359 0.6852 0.4179  3 O 1.90-2.07
Co1 0.4068 0.6662 0.8069  4 O 1.90-2.11
Co2 0.4234 0.1252 0.8086  6 O 2.07-2.20
Co3 0.5020 0.2038 0.4415  3 O 1.81-2.02
Co4 0.9463 0.1939 0.4341  4 O 1.96-2.15
O1 0.1344 0.8566 0.7477  1 Mg 1.92, 2 Co 1.99-2.13, 1 Zn 2.07
O2 0.1845 0.9464 0.3339  1 Zn 1.99, 1 Mg 2.02, 3 Co 2.06-2.20
O3 0.1930 0.3719 0.3389  1 Zn 2.00, 1 Mg 2.01, 2 Co 2.09-2.19
O4 0.2322 0.4219 0.8453  3 Co 1.96-2.12, 1 Zn 2.04
O5 0.6180 0.8415 0.7481  2 Co 1.90-2.07, 1 Mg 1.94
O6 0.6354 0.9027 0.2661  1 Zn 1.91, 3 Co 2.01-2.11
O7 0.6438 0.3207 0.2670  1 Zn 1.90, 3 Co 1.98-2.11
O8 0.7020 0.3931 0.8370  1 Co 1.81

Computed properties:
Energy above the most stable polymorph in this dataset in eV/atom: 0.0334
Crystal system: triclinic

## Zn2SbWO6 (PBE+U)

Data for Zn2SbWO6 after structural relaxation.

Lattice parameters (Å, degrees): 5.4712 5.4627 9.7433 90.00 122.85 90.00
With the nearest neighbours (Å) after each atom.
Positions (direct):
Zn1 0.2240 0.0176 0.2462  4 O 1.99-2.09
Zn2 0.2240 0.4824 0.7462  4 O 1.99-2.09
Zn3 0.7760 0.5176 0.2538  4 O 1.99-2.09
Zn4 0.7760 0.9824 0.7538  4 O 1.99-2.09
Sb1 0.0000 0.0000 0.5000  6 O 2.24-2.40
Sb2 0.0000 0.5000 0.0000  6 O 2.24-2.40
W1 0.5000 0.0000 0.0000  6 O 1.98-2.10
W2 0.5000 0.5000 0.5000  6 O 1.98-2.10
O1 0.1502 0.1183 0.7725  2 Zn 2.07-2.09, 1 W 2.10
O2 0.1502 0.3817 0.2725  2 Zn 2.07-2.09, 1 W 2.10
O3 0.2436 0.6447 0.5642  1 W 1.98, 1 Zn 2.04
O4 0.2436 0.8553 0.0642  1 W 1.98, 1 Zn 2.04
O5 0.4457 0.1827 0.5833  1 Zn 1.99, 1 W 2.00
O6 0.4457 0.3173 0.0833  1 Zn 1.99, 1 W 2.00
O7 0.5543 0.6827 0.9167  1 Zn 1.99, 1 W 2.00
O8 0.5543 0.8173 0.4167  1 Zn 1.99, 1 W 2.00
O9 0.7564 0.1447 0.9358  1 W 1.98, 1 Zn 2.04
O10 0.7564 0.3553 0.4358  1 W 1.98, 1 Zn 2.04
O11 0.8498 0.6183 0.7275  2 Zn 2.07-2.09, 1 W 2.10
O12 0.8498 0.8817 0.2275  2 Zn 2.07-2.09, 1 W 2.10

Computed properties:
Energy above the most stable polymorph in this dataset in eV/atom: 0.0000
Crystal system: monoclinic

## K2VOF4 (PBE+U)

Data for K2VOF4 after structural relaxation.

Lattice parameters (Å, degrees): 5.7514 7.5510 11.7159 90.00 90.00 90.00
With the nearest neighbours (Å) after each atom.
Positions (direct):
K1 0.0024 0.2362 0.2235  7 F 2.69-3.01, 1 O 2.86
K2 0.0037 0.9202 0.9106  7 F 2.74-3.04, 2 O 2.84-2.98
K3 0.4963 0.0798 0.4106  7 F 2.74-3.04, 2 O 2.84-2.98
K4 0.4976 0.7638 0.7235  7 F 2.69-3.01, 1 O 2.86
K5 0.5024 0.2638 0.7765  7 F 2.69-3.01, 1 O 2.86
K6 0.5037 0.5798 0.0894  7 F 2.74-3.04, 2 O 2.84-2.98
K7 0.9963 0.4202 0.5894  7 F 2.74-3.04, 2 O 2.84-2.98
K8 0.9976 0.7362 0.2765  7 F 2.69-3.01, 1 O 2.86
V1 0.0275 0.4330 0.9343  1 O 1.66
V2 0.4725 0.5670 0.4343  1 O 1.66
V3 0.5275 0.0670 0.0657  1 O 1.66
V4 0.9725 0.9330 0.5657  1 O 1.66
O1 0.2332 0.5677 0.8869  1 V 1.66
O2 0.2668 0.4323 0.3869  1 V 1.66
O3 0.7332 0.9323 0.1131  1 V 1.66
O4 0.7668 0.0677 0.6131  1 V 1.66
F1 0.0069 0.0258 0.4094  1 V 1.97
F2 0.0076 0.7777 0.6956  1 V 1.93
F3 0.2423 0.2492 0.0000  1 V 2.01
F4 0.2431 0.0655 0.6122  1 V 1.93
F5 0.2569 0.9345 0.1122  1 V 1.93
F6 0.2577 0.7508 0.5000  1 V 2.01
F7 0.4924 0.2223 0.1956  1 V 1.93
F8 0.4931 0.9742 0.9094  1 V 1.97
F9 0.5069 0.4742 0.5906  1 V 1.97
F10 0.5076 0.7223 0.3044  1 V 1.93
F11 0.7423 0.2508 0.0000  1 V 2.01
F12 0.7431 0.4345 0.3878  1 V 1.93
F13 0.7569 0.5655 0.8878  1 V 1.93
F14 0.7577 0.7492 0.5000  1 V 2.01
F15 0.9924 0.2777 0.8044  1 V 1.93
F16 0.9931 0.5258 0.0906  1 V 1.97

Computed properties:
Crystal system: orthorhombic

Across the entries above, E_tot takes the values -5.446; -5.840; -5.475 eV/atom, respectively.
Across the entries above, formation energy takes the values -1.44; -1.77; -3.02 eV per atom, respectively.